Density functional theory data (r2SCAN) for crystalline K5In3F14 at its relaxed geometry.

```
K5In3F14
1.0
-3.7863 0.0349 -6.8968
-5.5653 -4.6626 3.0318
-6.1775 9.6104 3.4400
K F In
10 28 6
direct
0.7871 0.7129 0.7500
0.2871 0.7871 0.7500
0.2129 0.2871 0.2500
0.7871 0.7129 0.2500
0.7129 0.2129 0.7500
0.0000 0.0000 0.5000
0.7129 0.2129 0.2500
0.2129 0.2871 0.7500
0.2871 0.7871 0.2500
0.5000 0.5000 0.0000
0.5499 0.8181 0.8799
0.0499 0.6819 0.6201
0.0000 0.0000 0.8267
0.7528 0.0981 0.0000
0.4019 0.7472 0.5000
0.9019 0.7528 0.0000
0.3181 0.0499 0.3799
0.2528 0.4019 0.5000
0.0000 0.0000 0.1733
0.1819 0.5499 0.8799
0.8181 0.4501 0.1201
0.8181 0.4501 0.8799
0.6819 0.9501 0.3799
0.5000 0.5000 0.3267
0.5000 0.5000 0.6733
0.6819 0.9501 0.6201
0.3181 0.0499 0.6201
0.4501 0.1819 0.1201
0.1819 0.5499 0.1201
0.9501 0.3181 0.3799
0.0981 0.2472 0.0000
0.9501 0.3181 0.6201
0.5981 0.2528 0.5000
0.4501 0.1819 0.8799
0.7472 0.5981 0.5000
0.0499 0.6819 0.3799
0.5499 0.8181 0.1201
0.2472 0.9019 0.0000
0.0000 0.5000 0.0000
0.0000 0.5000 0.5000
0.5000 0.5000 0.5000
0.0000 0.0000 0.0000
0.5000 0.0000 0.0000
0.5000 0.0000 0.5000
```

Properties
Symmetry: P4/mnc
Size of the total moment in μB/atom: 0.0000
Volume in A^3/atom: 16.79
Formation energy in kJ/mol of atoms: -283.6
Mass density in g cm⁻³: 3.6